DFT (PBE-GGA) results for Na2AlH4ClO4 after structural relaxation.

E: -5.15 eV/atom
Energy with MP2020 corrections: -5.38 eV per atom
Formation energy from the elements: -1909.0 meV/atom

The structure in CIF format:
```
data_Na2AlH4ClO4
_symmetry_space_group_name_H-M 'P 1'
_symmetry_Int_Tables_number 1
_cell_length_a 7.594
_cell_length_b 7.594
_cell_length_c 5.102
_cell_angle_alpha 90.00
_cell_angle_beta 90.00
_cell_angle_gamma 90.00
loop_
_symmetry_equiv_pos_as_xyz
'x,y,z'
loop_
_atom_site_label
_atom_site_fract_x
_atom_site_fract_y
_atom_site_fract_z
_atom_site_occupancy
Na1 0.000 0.000 0.000 1
Na2 0.000 0.500 0.000 1
Na3 0.500 0.000 0.000 1
Na4 0.500 0.500 0.000 1
Al1 0.250 0.750 0.500 1
Al2 0.750 0.250 0.500 1
H1 0.040 0.250 0.391 1
H2 0.250 0.040 0.391 1
H3 0.250 0.460 0.391 1
H4 0.460 0.250 0.391 1
H5 0.540 0.750 0.609 1
H6 0.750 0.540 0.609 1
H7 0.750 0.960 0.609 1
H8 0.960 0.750 0.609 1
Cl1 0.250 0.250 0.721 1
Cl2 0.750 0.750 0.279 1
O1 0.066 0.750 0.718 1
O2 0.250 0.566 0.282 1
O3 0.250 0.934 0.282 1
O4 0.434 0.750 0.718 1
O5 0.566 0.250 0.282 1
O6 0.750 0.066 0.718 1
O7 0.750 0.434 0.718 1
O8 0.934 0.250 0.282 1
```

---

DFT (PBE-GGA) results for Na7Al12Si12H6ClO48 after structural relaxation.

E: -6.92 eV/atom
Energy with MP2020 corrections: -7.31 eV per atom
Formation energy from the elements: -2897.9 meV/atom

The structure in CIF format:
```
data_Na7Al12Si12H6ClO48
_symmetry_space_group_name_H-M 'P 1'
_symmetry_Int_Tables_number 1
_cell_length_a 9.228
_cell_length_b 9.383
_cell_length_c 18.503
_cell_angle_alpha 89.86
_cell_angle_beta 87.27
_cell_angle_gamma 89.98
loop_
_symmetry_equiv_pos_as_xyz
'x,y,z'
loop_
_atom_site_label
_atom_site_fract_x
_atom_site_fract_y
_atom_site_fract_z
_atom_site_occupancy
Na1 0.000 0.000 0.000 1
Na2 0.003 0.970 0.499 1
Na3 0.082 0.459 0.047 1
Na4 0.162 0.491 0.547 1
Na5 0.372 0.490 0.718 1
Na6 0.460 0.455 0.229 1
Na7 0.535 0.999 0.271 1
Al1 0.032 0.708 0.368 1
Al2 0.038 0.713 0.874 1
Al3 0.239 0.201 0.769 1
Al4 0.249 0.208 0.260 1
Al5 0.276 0.210 0.509 1
Al6 0.288 0.206 0.013 1
Al7 0.501 0.714 0.400 1
Al8 0.507 0.707 0.899 1
Al9 0.761 0.445 0.627 1
Al10 0.768 0.455 0.136 1
Al11 0.769 0.966 0.135 1
Al12 0.776 0.961 0.630 1
Si1 0.018 0.202 0.636 1
Si2 0.018 0.208 0.141 1
Si3 0.263 0.967 0.386 1
Si4 0.269 0.963 0.891 1
Si5 0.271 0.457 0.888 1
Si6 0.272 0.459 0.382 1
Si7 0.519 0.207 0.131 1
Si8 0.523 0.208 0.629 1
Si9 0.755 0.711 0.514 1
Si10 0.759 0.708 0.017 1
Si11 0.778 0.709 0.254 1
Si12 0.786 0.708 0.756 1
H1 0.474 0.148 0.745 1
H2 0.575 0.628 0.300 1
H3 0.581 0.603 0.801 1
H4 0.849 0.478 0.738 1
H5 0.965 0.628 0.976 1
H6 0.972 0.633 0.476 1
Cl1 0.258 0.671 0.635 1
O1 0.090 0.180 0.217 1
O2 0.103 0.191 0.711 1
O3 0.117 0.870 0.378 1
O4 0.117 0.875 0.882 1
O5 0.126 0.250 0.568 1
O6 0.129 0.563 0.905 1
O7 0.131 0.564 0.400 1
O8 0.137 0.235 0.073 1
O9 0.229 0.060 0.459 1
O10 0.236 0.057 0.963 1
O11 0.244 0.366 0.814 1
O12 0.256 0.370 0.308 1
O13 0.286 0.365 0.961 1
O14 0.292 0.365 0.455 1
O15 0.298 0.062 0.820 1
O16 0.299 0.063 0.314 1
O17 0.400 0.229 0.199 1
O18 0.408 0.859 0.900 1
O19 0.410 0.872 0.394 1
O20 0.416 0.562 0.365 1
O21 0.417 0.554 0.868 1
O22 0.419 0.206 0.712 1
O23 0.423 0.186 0.563 1
O24 0.448 0.178 0.055 1
O25 0.589 0.370 0.632 1
O26 0.610 0.357 0.130 1
O27 0.614 0.688 0.469 1
O28 0.616 0.070 0.155 1
O29 0.623 0.687 0.968 1
O30 0.626 0.715 0.315 1
O31 0.628 0.695 0.810 1
O32 0.637 0.083 0.644 1
O33 0.723 0.572 0.209 1
O34 0.764 0.858 0.057 1
O35 0.768 0.867 0.548 1
O36 0.772 0.833 0.701 1
O37 0.773 0.861 0.214 1
O38 0.778 0.542 0.717 1
O39 0.794 0.577 0.564 1
O40 0.810 0.569 0.061 1
O41 0.900 0.331 0.646 1
O42 0.910 0.704 0.454 1
O43 0.916 0.713 0.959 1
O44 0.922 0.072 0.116 1
O45 0.922 0.685 0.297 1
O46 0.924 0.694 0.804 1
O47 0.927 0.359 0.143 1
O48 0.942 0.050 0.617 1
```